[1]
Computed, not measured: crystalline K2B6H2O11 at its relaxed geometry at the PBE-GGA level of DFT.

Properties
E_tot in eV per atom: -7.17
Formation enthalpy at 0 K in meV per atom: -2600
MP2020-corrected energy in eV/atom: -7.529

a b c (Å): 9.166 6.705 18.257
angles (deg): 90.00 117.78 90.00
Space group P2_1/c (No. 14)
Inequivalent atoms, fractional coordinates:
K 0.110 0.162 0.129 x4
K 0.330 0.583 0.343 x4
B 0.070 0.203 0.340 x4
B 0.206 0.679 0.146 x4
B 0.235 0.540 0.950 x4
B 0.248 0.188 0.985 x4
B 0.305 0.668 0.551 x4
B 0.481 0.608 0.167 x4
H 0.009 0.642 0.769 x4
H 0.298 0.029 0.314 x4
O 0.075 0.239 0.764 x4
O 0.101 0.656 0.178 x4
O 0.144 0.141 0.905 x4
O 0.167 0.012 0.367 x4
O 0.177 0.703 0.579 x4
O 0.252 0.737 0.969 x4
O 0.280 0.110 0.510 x4
O 0.323 0.050 0.047 x4
O 0.354 0.569 0.187 x4
O 0.375 0.000 0.291 x4
O 0.467 0.747 0.612 x4

***

[2]
Computed, not measured: crystalline K3B5PH2O13 at its relaxed geometry at the PBE-GGA level of DFT.

Properties
E_tot in eV per atom: -6.87
Formation enthalpy at 0 K in meV per atom: -2527
MP2020-corrected energy in eV/atom: -7.246

a b c (Å): 6.923 7.411 12.338
angles (deg): 90.00 94.10 90.00
Space group P2/c (No. 13)
Inequivalent atoms, fractional coordinates:
K 0.000 0.088 0.250 x2
K 0.353 0.252 0.948 x4
B 0.000 0.383 0.750 x2
B 0.135 0.313 0.575 x4
B 0.327 0.479 0.198 x4
P 0.500 0.151 0.250 x2
H 0.189 0.273 0.423 x4
O 0.017 0.265 0.655 x4
O 0.102 0.227 0.475 x4
O 0.171 0.498 0.271 x4
O 0.282 0.438 0.590 x4
O 0.361 0.281 0.177 x4
O 0.383 0.043 0.327 x4
O 0.500 0.435 0.750 x2

***

[3]
Computed, not measured: crystalline K3BP3H3O12 at its relaxed geometry at the PBE-GGA level of DFT.

Properties
E_tot in eV per atom: -6.40
Formation enthalpy at 0 K in meV per atom: -2422
MP2020-corrected energy in eV/atom: -6.777

a b c (Å): 25.405 7.592 14.408
angles (deg): 90.00 118.89 90.00
Space group C2/c (No. 15)
Inequivalent atoms, fractional coordinates:
K 0.048 0.047 0.155 x8
K 0.106 0.315 0.961 x8
K 0.232 0.493 0.912 x8
B 0.170 0.270 0.661 x8
P 0.076 0.401 0.695 x8
P 0.107 0.132 0.458 x8
P 0.243 0.023 0.812 x8
H 0.045 0.483 0.535 x8
H 0.075 0.345 0.334 x8
H 0.180 0.089 0.366 x8
O 0.019 0.301 0.662 x8
O 0.058 0.246 0.361 x8
O 0.065 0.454 0.103 x8
O 0.073 0.008 0.492 x8
O 0.104 0.494 0.298 x8
O 0.125 0.267 0.698 x8
O 0.143 0.280 0.545 x8
O 0.149 0.040 0.426 x8
O 0.204 0.104 0.698 x8
O 0.204 0.127 0.327 x8
O 0.208 0.427 0.705 x8
O 0.234 0.346 0.099 x8

***

[4]
Computed, not measured: crystalline KB6PH4O14 at its relaxed geometry at the PBE-GGA level of DFT.

Properties
E_tot in eV per atom: -7.08
Formation enthalpy at 0 K in meV per atom: -2472
MP2020-corrected energy in eV/atom: -7.451

a b c (Å): 12.274 12.274 7.683
angles (deg): 90.00 90.00 90.00
Space group P4/ncc (No. 130, origin choice 2)
Inequivalent atoms, fractional coordinates:
K 0.250 0.250 0.112 x4
B 0.054 0.071 0.315 x16
B 0.134 0.634 0.250 x8
P 0.250 0.750 0.000 x4
H 0.034 0.210 0.865 x16
O 0.023 0.651 0.183 x16
O 0.032 0.532 0.750 x8
O 0.095 0.157 0.877 x16
O 0.150 0.717 0.389 x16

***

[5]
Computed, not measured: crystalline KScBP2HO9 at its relaxed geometry at the PBE-GGA level of DFT.

Properties
E_tot in eV per atom: -7.32
Formation enthalpy at 0 K in meV per atom: -2876
MP2020-corrected energy in eV/atom: -7.735

a b c (Å): 5.340 8.399 8.473
angles (deg): 88.22 79.94 86.66
Space group P-1 (No. 2)
Inequivalent atoms, fractional coordinates:
K 0.220 0.323 0.120 x2
Sc 0.224 0.803 0.196 x2
B 0.388 0.729 0.559 x2
P 0.287 0.940 0.806 x2
P 0.306 0.424 0.699 x2
H 0.081 0.868 0.516 x2
O 0.034 0.997 0.753 x2
O 0.060 0.363 0.796 x2
O 0.218 0.803 0.453 x2
O 0.232 0.820 0.950 x2
O 0.242 0.604 0.660 x2
O 0.375 0.335 0.536 x2
O 0.441 0.077 0.844 x2
O 0.462 0.846 0.665 x2
O 0.472 0.593 0.207 x2

***

[6]
Computed, not measured: crystalline KSrB3H12 at its relaxed geometry at the PBE-GGA level of DFT.

Properties
E_tot in eV per atom: -4.09
Formation enthalpy at 0 K in meV per atom: -481
MP2020-corrected energy in eV/atom: -4.219

a b c (Å): 8.139 8.762 11.612
angles (deg): 90.00 90.00 90.00
Space group Pna2_1 (No. 33)
Inequivalent atoms, fractional coordinates:
K 0.031 0.056 0.000 x4
Sr 0.043 0.528 0.242 x4
B 0.079 0.484 0.514 x4
B 0.170 0.855 0.716 x4
B 0.192 0.817 0.284 x4
H 0.003 0.634 0.019 x4
H 0.011 0.404 0.016 x4
H 0.044 0.781 0.707 x4
H 0.093 0.824 0.204 x4
H 0.125 0.760 0.368 x4
H 0.133 0.991 0.728 x4
H 0.166 0.482 0.429 x4
H 0.175 0.489 0.595 x4
H 0.194 0.233 0.757 x4
H 0.239 0.946 0.309 x4
H 0.245 0.343 0.128 x4
H 0.249 0.313 0.299 x4